DFT (GGA-PBE) results for crystalline Na5ScNb3Si5PO24 at its relaxed geometry.

Computed properties:
The value obtained for the MP2020-corrected energy is -935.331 eV/cell. The total energy is -7.57 eV/atom. The formation energy comes out at -3.01 eV per atom.

abc: 9.058 9.066 22.629
angles: 89.88 89.92 60.04
Fractional coordinates of all 117 atoms:
Na: 0.000 0.000 0.000
Na: 0.000 0.367 0.249
Na: 0.008 0.365 0.750
Na: 0.052 0.023 0.667
Na: 0.311 0.408 0.666
Na: 0.314 0.025 0.170
Na: 0.335 0.348 0.330
Na: 0.344 0.699 0.580
Na: 0.345 0.683 0.090
Na: 0.386 0.356 0.001
Na: 0.645 0.741 0.999
Na: 0.666 0.666 0.667
Na: 0.676 0.033 0.913
Na: 0.686 0.032 0.418
Na: 0.702 0.698 0.330
Sc: 0.344 0.691 0.230
Sc: 0.345 0.703 0.728
Sc: 0.674 0.038 0.061
Nb: 0.006 0.366 0.892
Nb: 0.009 0.366 0.599
Nb: 0.010 0.362 0.395
Nb: 0.010 0.370 0.102
Nb: 0.341 0.700 0.436
Nb: 0.341 0.704 0.932
Nb: 0.675 0.033 0.557
Nb: 0.676 0.037 0.268
Nb: 0.680 0.029 0.769
Si: 0.011 0.073 0.498
Si: 0.012 0.654 0.996
Si: 0.049 0.994 0.828
Si: 0.052 0.701 0.331
Si: 0.296 0.077 0.997
Si: 0.301 0.368 0.497
Si: 0.339 0.990 0.328
Si: 0.383 0.331 0.161
Si: 0.388 0.035 0.664
Si: 0.634 0.412 0.331
Si: 0.636 0.701 0.828
Si: 0.677 0.319 0.663
Si: 0.718 0.657 0.497
Si: 0.720 0.368 0.997
Si: 0.964 0.744 0.663
P: 0.343 0.407 0.830
P: 0.678 0.741 0.163
P: 0.967 0.034 0.162
O: 0.023 0.536 0.340
O: 0.031 0.181 0.839
O: 0.035 0.168 0.557
O: 0.046 0.527 0.054
O: 0.145 0.731 0.389
O: 0.147 0.871 0.888
O: 0.150 0.885 0.168
O: 0.152 0.720 0.667
O: 0.158 0.914 0.769
O: 0.173 0.165 0.056
O: 0.177 0.650 0.275
O: 0.181 0.391 0.556
O: 0.183 0.889 0.491
O: 0.184 0.187 0.338
O: 0.185 0.387 0.839
O: 0.189 0.663 0.991
O: 0.196 0.330 0.159
O: 0.199 0.204 0.942
O: 0.199 0.210 0.658
O: 0.207 0.344 0.439
O: 0.309 0.889 0.990
O: 0.310 0.918 0.267
O: 0.316 0.511 0.774
O: 0.316 0.539 0.492
O: 0.358 0.518 0.166
O: 0.363 0.502 0.886
O: 0.367 0.868 0.666
O: 0.378 0.860 0.384
O: 0.480 0.070 0.721
O: 0.481 0.201 0.220
O: 0.487 0.050 0.000
O: 0.487 0.196 0.503
O: 0.487 0.237 0.102
O: 0.506 0.230 0.828
O: 0.506 0.497 0.388
O: 0.509 0.506 0.666
O: 0.512 0.008 0.607
O: 0.514 0.721 0.887
O: 0.515 0.730 0.168
O: 0.516 0.008 0.323
O: 0.532 0.540 0.990
O: 0.532 0.672 0.491
O: 0.559 0.533 0.274
O: 0.561 0.667 0.769
O: 0.648 0.876 0.827
O: 0.649 0.222 0.322
O: 0.651 0.222 0.607
O: 0.659 0.845 0.107
O: 0.702 0.199 0.000
O: 0.702 0.830 0.219
O: 0.703 0.844 0.503
O: 0.712 0.193 0.721
O: 0.813 0.403 0.054
O: 0.814 0.537 0.556
O: 0.824 0.388 0.340
O: 0.827 0.536 0.839
O: 0.837 0.563 0.439
O: 0.837 0.836 0.721
O: 0.840 0.059 0.503
O: 0.842 0.561 0.159
O: 0.845 0.341 0.941
O: 0.847 0.841 0.001
O: 0.850 0.052 0.216
O: 0.852 0.333 0.658
O: 0.858 0.013 0.827
O: 0.858 0.866 0.323
O: 0.867 0.869 0.607
O: 0.888 0.014 0.105
O: 0.975 0.556 0.659
O: 0.978 0.203 0.160
O: 0.983 0.557 0.941
O: 0.987 0.197 0.442